No. 1
A plane-wave DFT calculation with PBE-GGA was carried out for a relaxed CaPO4 crystal.

Lattice parameters (Å, degrees): 6.7672 6.9759 7.0260 99.70 99.95 90.15
Last column: nearest neighbours and their distance in Å.
Space group P-1 (No. 2)
Inequivalent atoms, fractional coordinates:
Ca 0.0747 0.1875 0.2402 x2  6 O 2.31-2.55
Ca 0.3479 0.6776 0.1617 x2  7 O 2.38-2.56
P 0.1123 0.3032 0.7835 x2  4 O 1.54-1.56
P 0.4449 0.7987 0.7095 x2  4 O 1.54-1.56
O 0.0083 0.1561 0.8799 x2  1 P 1.55
O 0.0290 0.5230 0.2279 x2  1 P 1.55
O 0.1494 0.2124 0.5778 x2  1 P 1.54
O 0.2905 0.7953 0.8457 x2  1 P 1.54
O 0.3184 0.3737 0.9129 x2  1 P 1.56
O 0.3361 0.7925 0.4977 x2  1 P 1.54
O 0.4088 0.0234 0.2257 x2  1 P 1.54
O 0.4201 0.3825 0.2931 x2  1 P 1.56

For the raw total energy, the calculation gives -166.24 eV/cell. Its crystal system is triclinic.

---

No. 2
A plane-wave DFT calculation with PBE-GGA was carried out for a relaxed Ca2P2O11 crystal.

Lattice parameters (Å, degrees): 12.4155 7.5947 10.7326 90.00 112.24 90.00
Last column: nearest neighbours and their distance in Å.
Space group P2_1/c (No. 14)
Inequivalent atoms, fractional coordinates:
Ca 0.0162 0.0046 0.2636 x4  6 O 2.33-2.51
Ca 0.2305 0.6389 0.1585 x4  3 O 2.20-2.31
P 0.0638 0.2453 0.5123 x4  4 O 1.53-1.59
P 0.2531 0.0208 0.9825 x4  3 O 1.49-1.56
O 0.0211 0.2492 0.1288 x4  1 P 1.53
O 0.0387 0.7387 0.6280 x4  1 P 1.57
O 0.1293 0.0754 0.5070 x4  1 P 1.54
O 0.1421 0.0838 0.0307 x4  2 P 1.59-1.71
O 0.1860 0.5179 0.3296 x4  1 P 1.56
O 0.2730 0.5426 0.8357 x4  1 O 1.23
O 0.2910 0.6507 0.5605 x4  1 P 1.52
O 0.3375 0.1688 0.0124 x4  1 P 1.49
O 0.3486 0.0687 0.3471 x4  1 O 1.23
O 0.4541 0.5941 0.3130 x4  1 O 1.24
O 0.4591 0.0209 0.7334 x4  1 O 1.24

For the raw total energy, the calculation gives -392.45 eV/cell. Its crystal system is monoclinic.

---

No. 3
A plane-wave DFT calculation with PBE-GGA was carried out for a relaxed CaPO4 crystal.

Lattice parameters (Å, degrees): 6.5691 6.9604 8.2051 90.00 126.38 90.00
Last column: nearest neighbours and their distance in Å.
Space group P2_1/c (No. 14)
Inequivalent atoms, fractional coordinates:
Ca 0.1784 0.1569 0.2793 x4  8 O 2.41-2.67
P 0.3069 0.6620 0.1958 x4  4 O 1.55
O 0.1263 0.6637 0.6169 x4  1 P 1.55
O 0.1957 0.5052 0.2554 x4  1 P 1.55
O 0.3266 0.5975 0.0243 x4  1 P 1.55
O 0.4177 0.2117 0.1253 x4  1 P 1.55

For the raw total energy, the calculation gives -165.97 eV/cell. Its crystal system is monoclinic.

---

No. 4
A plane-wave DFT calculation with PBE-GGA was carried out for a relaxed Ca10P6O25 crystal.

Lattice parameters (Å, degrees): 9.5923 9.5923 6.8996 90.00 90.00 120.00
Last column: nearest neighbours and their distance in Å.
Space group P3 (No. 143)
Inequivalent atoms, fractional coordinates:
Ca 0.0000 0.0000 0.0000 x1  6 O 2.39-2.48
Ca 0.0000 0.0000 0.4859 x1  6 O 2.38-2.45
Ca 0.0549 0.6648 0.7451 x3  5 O 2.29-2.49
Ca 0.1049 0.4419 0.2428 x3  3 O 2.18-2.40
Ca 0.6667 0.3333 0.0015 x1  9 O 2.48-2.75
Ca 0.6667 0.3333 0.4937 x1  6 O 2.44-2.46
P 0.3034 0.0234 0.7436 x3  4 O 1.55-1.57
P 0.3635 0.2901 0.2459 x3  4 O 1.55-1.56
O 0.0876 0.3361 0.9237 x3  1 P 1.55
O 0.0908 0.3431 0.5663 x3  1 P 1.55
O 0.1784 0.1756 0.2437 x3  1 P 1.55
O 0.2055 0.1150 0.7398 x3  1 P 1.57
O 0.3333 0.6667 0.2260 x1  3 Ca 2.18
O 0.4155 0.4016 0.4265 x3  1 P 1.55
O 0.4203 0.3968 0.0607 x3  1 P 1.56
O 0.4565 0.1954 0.2517 x3  1 P 1.56
O 0.4868 0.1488 0.7452 x3  1 P 1.56

For the raw total energy, the calculation gives -295.09 eV/cell. Its crystal system is trigonal.

---

No. 5
A plane-wave DFT calculation with PBE-GGA was carried out for a relaxed Ca3P2O8 crystal.

Lattice parameters (Å, degrees): 5.6217 8.9201 7.2338 90.00 90.54 90.00
Last column: nearest neighbours and their distance in Å.
Space group C2 (No. 5)
Inequivalent atoms, fractional coordinates:
Ca 0.0000 0.0000 0.0000 x2  4 O 2.37-2.43
Ca 0.0052 0.6801 0.2730 x4  5 O 2.28-2.51
P 0.0000 0.0368 0.5000 x2  4 O 1.55-1.56
P 0.0000 0.3410 0.0000 x2  4 O 1.52-1.59
O 0.0118 0.9406 0.6806 x4  1 P 1.56
O 0.0195 0.4389 0.8285 x4  1 P 1.52
O 0.2252 0.2328 0.0084 x4  1 P 1.59
O 0.2262 0.1366 0.4941 x4  1 P 1.55

As for the offset from the most stable computed form: 0.076 eV per atom. For the raw total energy, the calculation gives -186.36 eV/cell. Its crystal system is monoclinic.

---

No. 6
A plane-wave DFT calculation with PBE-GGA was carried out for a relaxed CaP2PdO7 crystal.

Lattice parameters (Å, degrees): 13.1270 5.9670 7.2967 90.00 90.00 90.00
Last column: nearest neighbours and their distance in Å.
Space group Pnma (No. 62)
Inequivalent atoms, fractional coordinates:
Ca 0.2441 0.2500 0.2409 x4  6 O 2.32-2.52
P 0.0947 0.7500 0.1719 x4  4 O 1.49-1.62
P 0.1247 0.2500 0.7918 x4  4 O 1.50-1.61
Pd 0.0000 0.0000 0.5000 x4  4 O 2.06
O 0.0204 0.2500 0.9090 x4  2 P 1.61-1.62
O 0.1024 0.5297 0.2873 x8  1 P 1.56
O 0.1242 0.0342 0.6709 x8  1 P 1.56
O 0.1679 0.7500 0.0159 x4  1 P 1.49
O 0.2107 0.2500 0.9266 x4  1 P 1.50

For the raw total energy, the calculation gives -305.04 eV/cell. Its crystal system is orthorhombic.

---

DFT formation energy values, unit eV per atom, following the record order: -2.849 -2.041 -2.838 -3.318 -3.250 -2.584.